No. 1
This record from the Materials Project database describes crystalline LiTl6Si2O7 at its relaxed geometry. The functional is PBE.

Summary:
The size of the total moment is 1.01 μB/f.u. The formation energy is -1735 meV per atom. As for the mass density: 6.249 g cm⁻³. The crystal system is triclinic. As for the distance to the lowest polymorph of the same formula: 0.000 eV per atom. As for the space group: P1, No. 1.

Cell lengths 5.1511, 8.9593, 9.2323 Å; angles 61.00, 88.00, 88.73 degrees
Sites, in units of the cell vectors:
Li 0.0000 0.0000 0.0000
Tl 0.0112 0.6163 0.4952
Tl 0.0267 0.1135 0.2452
Tl 0.0777 0.6601 0.0827
Tl 0.4526 0.2382 0.8017
Tl 0.4631 0.8538 0.6264
Tl 0.4931 0.3556 0.3343
Si 0.4994 0.8432 0.2168
Si 0.9309 0.1651 0.5906
O 0.0038 0.3545 0.4441
O 0.3608 0.9535 0.0350
O 0.3833 0.6447 0.3033
O 0.4181 0.9273 0.3375
O 0.8200 0.8383 0.1958
O 0.9374 0.1318 0.7771
O 0.9840 0.0097 0.5517

***

No. 2
This record from the Materials Project database describes crystalline BaLu2F8 at its relaxed geometry. The functional is PBE.

Summary:
The size of the total moment is 0.00 μB/f.u. The formation energy is -4426 meV per atom. As for the mass density: 6.828 g cm⁻³. The crystal system is orthorhombic. As for the space group: Pnma, No. 62.

Cell lengths 6.9307, 8.1092, 22.1276 Å; angles 90.00, 90.00, 90.00 degrees
Sites, in units of the cell vectors:
Ba 0.1066 0.2500 0.1355
Ba 0.2132 0.7500 0.1205
Ba 0.2868 0.2500 0.6205
Ba 0.3934 0.7500 0.6355
Ba 0.6066 0.2500 0.3645
Ba 0.7132 0.7500 0.3795
Ba 0.7868 0.2500 0.8795
Ba 0.8934 0.7500 0.8645
Lu 0.1572 0.5189 0.2866
Lu 0.1572 0.9811 0.2866
Lu 0.2432 0.5212 0.4722
Lu 0.2432 0.9788 0.4722
Lu 0.2568 0.0212 0.9722
Lu 0.2568 0.4788 0.9722
Lu 0.3428 0.0189 0.7866
Lu 0.3428 0.4811 0.7866
Lu 0.6572 0.5189 0.2134
Lu 0.6572 0.9811 0.2134
Lu 0.7432 0.5212 0.0278
Lu 0.7432 0.9788 0.0278
Lu 0.7568 0.0212 0.5278
Lu 0.7568 0.4788 0.5278
Lu 0.8428 0.0189 0.7134
Lu 0.8428 0.4811 0.7134
F 0.0209 0.0175 0.7974
F 0.0209 0.4825 0.7974
F 0.0584 0.0636 0.5490
F 0.0584 0.4364 0.5490
F 0.0602 0.0049 0.0546
F 0.0602 0.4951 0.0546
F 0.0686 0.7500 0.3346
F 0.1431 0.5334 0.6880
F 0.1431 0.9666 0.6880
F 0.1672 0.2500 0.9246
F 0.1684 0.2500 0.2682
F 0.1981 0.7500 0.5284
F 0.2016 0.7500 0.9791
F 0.2247 0.0599 0.3778
F 0.2247 0.4401 0.3778
F 0.2438 0.7500 0.2408
F 0.2562 0.2500 0.7408
F 0.2753 0.5599 0.8778
F 0.2753 0.9401 0.8778
F 0.2984 0.2500 0.4791
F 0.3019 0.2500 0.0284
F 0.3316 0.7500 0.7682
F 0.3328 0.7500 0.4246
F 0.3569 0.0334 0.1880
F 0.3569 0.4666 0.1880
F 0.4314 0.2500 0.8346
F 0.4398 0.5049 0.5546
F 0.4398 0.9951 0.5546
F 0.4416 0.5636 0.0490
F 0.4416 0.9364 0.0490
F 0.4791 0.5175 0.2974
F 0.4791 0.9825 0.2974
F 0.5209 0.0175 0.7026
F 0.5209 0.4825 0.7026
F 0.5584 0.0636 0.9510
F 0.5584 0.4364 0.9510
F 0.5602 0.0049 0.4454
F 0.5602 0.4951 0.4454
F 0.5686 0.7500 0.1654
F 0.6431 0.5334 0.8120
F 0.6431 0.9666 0.8120
F 0.6672 0.2500 0.5754
F 0.6684 0.2500 0.2318
F 0.6981 0.7500 0.9716
F 0.7016 0.7500 0.5209
F 0.7247 0.0599 0.1222
F 0.7247 0.4401 0.1222
F 0.7438 0.7500 0.2592
F 0.7562 0.2500 0.7592
F 0.7753 0.5599 0.6222
F 0.7753 0.9401 0.6222
F 0.7984 0.2500 0.0209
F 0.8019 0.2500 0.4716
F 0.8316 0.7500 0.7318
F 0.8328 0.7500 0.0754
F 0.8569 0.0334 0.3120
F 0.8569 0.4666 0.3120
F 0.9314 0.2500 0.6654
F 0.9398 0.5049 0.9454
F 0.9398 0.9951 0.9454
F 0.9416 0.5636 0.4510
F 0.9416 0.9364 0.4510
F 0.9791 0.5175 0.2026
F 0.9791 0.9825 0.2026

***

No. 3
This record from the Materials Project database describes crystalline Na2MgAlF7 at its relaxed geometry. The functional is PBE.

Summary:
The size of the total moment is 0.00 μB/f.u. The formation energy is -3579 meV per atom. As for the mass density: 2.829 g cm⁻³. The crystal system is orthorhombic. As for the space group: Ima2, No. 46. The maximum piezoelectric response is 0.26 C/m².

Cell lengths 7.2375, 7.2375, 7.2375 Å; angles 91.07, 118.07, 120.72 degrees
Sites, in units of the cell vectors:
Na 0.0000 0.0000 0.0000
Na 0.0000 0.5000 0.5000
Na 0.5210 0.4939 0.5271
Na 0.9668 0.9939 0.4729
Mg 0.4877 0.9896 0.9981
Mg 0.9914 0.4896 0.0019
Al 0.4897 0.4897 0.0000
Al 0.4897 0.9897 0.5000
F 0.1263 0.7388 0.8874
F 0.2347 0.4172 0.0405
F 0.2347 0.6942 0.3175
F 0.2710 0.0769 0.3665
F 0.2710 0.4045 0.6941
F 0.3767 0.1942 0.9595
F 0.3767 0.9172 0.6825
F 0.6050 0.0612 0.3178
F 0.6050 0.7872 0.0437
F 0.7104 0.5769 0.3059
F 0.7104 0.9045 0.6335
F 0.7434 0.2872 0.6822
F 0.7434 0.5612 0.9563
F 0.8514 0.2388 0.1126

***

No. 4
This record from the Materials Project database describes crystalline NdMn6Ge6 at its relaxed geometry. The functional is PBE.

Summary:
The size of the total moment is 11.76 μB/f.u. The formation energy is -281 meV per atom. As for the mass density: 7.807 g cm⁻³. The crystal system is hexagonal. As for the space group: P6/mmm, No. 191.

Cell lengths 5.2270, 5.2270, 8.1780 Å; angles 90.00, 90.00, 120.00 degrees
Sites, in units of the cell vectors:
Nd 0.0000 0.0000 0.0000
Mn 0.0000 0.5000 0.2523
Mn 0.0000 0.5000 0.7477
Mn 0.5000 0.0000 0.2523
Mn 0.5000 0.0000 0.7477
Mn 0.5000 0.5000 0.2523
Mn 0.5000 0.5000 0.7477
Ge 0.0000 0.0000 0.3476
Ge 0.0000 0.0000 0.6524
Ge 0.3333 0.6667 0.0000
Ge 0.3333 0.6667 0.5000
Ge 0.6667 0.3333 0.0000
Ge 0.6667 0.3333 0.5000

***

No. 5
This record from the Materials Project database describes crystalline HoAl10Re2 at its relaxed geometry. The functional is PBE.

Summary:
The size of the total moment is 0.00 μB/f.u. The formation energy is -351 meV per atom. As for the mass density: 6.167 g cm⁻³. The crystal system is orthorhombic. As for the space group: Cmcm, No. 63.

Cell lengths 6.9676, 6.9676, 27.0092 Å; angles 90.00, 90.00, 96.04 degrees
Sites, in units of the cell vectors:
Ho 0.1171 0.8829 0.7500
Ho 0.3760 0.6240 0.5847
Ho 0.3760 0.6240 0.9153
Ho 0.6240 0.3760 0.0847
Ho 0.6240 0.3760 0.4153
Ho 0.8829 0.1171 0.2500
Al 0.0258 0.5315 0.6714
Al 0.0258 0.5315 0.8286
Al 0.0289 0.2728 0.5807
Al 0.0289 0.2728 0.9193
Al 0.0966 0.3185 0.7500
Al 0.0974 0.9026 0.6340
Al 0.0974 0.9026 0.8660
Al 0.1197 0.3760 0.0830
Al 0.1197 0.3760 0.4170
Al 0.1227 0.8773 0.5220
Al 0.1227 0.8773 0.9780
Al 0.1299 0.8701 0.1774
Al 0.1299 0.8701 0.3226
Al 0.2394 0.4614 0.2500
Al 0.2728 0.0289 0.0807
Al 0.2728 0.0289 0.4193
Al 0.2938 0.2938 0.0000
Al 0.2938 0.2938 0.5000
Al 0.3185 0.0966 0.2500
Al 0.3352 0.6648 0.0340
Al 0.3352 0.6648 0.4660
Al 0.3754 0.6246 0.1460
Al 0.3754 0.6246 0.3540
Al 0.3760 0.1197 0.5830
Al 0.3760 0.1197 0.9170
Al 0.4065 0.5935 0.6997
Al 0.4065 0.5935 0.8003
Al 0.4614 0.2394 0.7500
Al 0.4685 0.9742 0.6714
Al 0.4685 0.9742 0.8286
Al 0.5315 0.0258 0.1714
Al 0.5315 0.0258 0.3286
Al 0.5386 0.7606 0.2500
Al 0.5935 0.4065 0.1997
Al 0.5935 0.4065 0.3003
Al 0.6240 0.8803 0.0830
Al 0.6240 0.8803 0.4170
Al 0.6246 0.3754 0.6460
Al 0.6246 0.3754 0.8540
Al 0.6648 0.3352 0.5340
Al 0.6648 0.3352 0.9660
Al 0.6815 0.9034 0.7500
Al 0.7062 0.7062 0.0000
Al 0.7062 0.7062 0.5000
Al 0.7272 0.9711 0.5807
Al 0.7272 0.9711 0.9193
Al 0.7606 0.5386 0.7500
Al 0.8701 0.1299 0.6774
Al 0.8701 0.1299 0.8226
Al 0.8773 0.1227 0.0220
Al 0.8773 0.1227 0.4780
Al 0.8803 0.6240 0.5830
Al 0.8803 0.6240 0.9170
Al 0.9026 0.0974 0.1340
Al 0.9026 0.0974 0.3660
Al 0.9034 0.6815 0.2500
Al 0.9711 0.7272 0.0807
Al 0.9711 0.7272 0.4193
Al 0.9742 0.4685 0.1714
Al 0.9742 0.4685 0.3286
Re 0.0000 0.5000 0.0000
Re 0.0000 0.5000 0.5000
Re 0.2446 0.2511 0.6632
Re 0.2446 0.2511 0.8368
Re 0.2511 0.2446 0.1632
Re 0.2511 0.2446 0.3368
Re 0.5000 0.0000 0.0000
Re 0.5000 0.0000 0.5000
Re 0.7489 0.7554 0.6632
Re 0.7489 0.7554 0.8368
Re 0.7554 0.7489 0.1632
Re 0.7554 0.7489 0.3368

***

No. 6
This record from the Materials Project database describes crystalline MgSi2 at its relaxed geometry. The functional is PBE.

Summary:
The size of the total moment is 0.00 μB/f.u. The formation energy is 254 meV per atom. As for the mass density: 2.623 g cm⁻³. The crystal system is triclinic. As for the distance to the lowest polymorph of the same formula: 0.177 eV per atom. As for the space group: P1, No. 1.

Cell lengths 3.5044, 5.1445, 12.1871 Å; angles 80.90, 81.88, 70.67 degrees
Sites, in units of the cell vectors:
Mg 0.0000 0.0000 0.0000
Mg 0.0120 0.2049 0.7530
Mg 0.3203 0.1698 0.1883
Mg 0.6564 0.3174 0.3746
Si 0.2854 0.4600 0.9708
Si 0.3132 0.6799 0.6845
Si 0.3670 0.8530 0.4187
Si 0.6278 0.6135 0.1282
Si 0.6909 0.0143 0.5778
Si 0.7250 0.7082 0.8493
Si 0.9817 0.5154 0.5422
Si 0.9971 0.7366 0.2681

***

> What is the mass density in the second record?

6.828 g cm⁻³

***

> Which of these has the highest size of the total moment?

NdMn6Ge6